VASP calculation (PBE-GGA) on a geometry-optimized Zn8B3H3O14 structure.

Spin magnetization, Bohr magnetons per cell: 0.00
Energy of formation, eV per atom: -1.9862

The structure in POSCAR format:
```
Zn8B3H3O14
1.0
4.1194 2.3783 5.9585
-4.1194 2.3783 5.9585
0.0000 -4.7567 5.9585
Zn B H O
8 3 3 14
Cartesian
-1.8060 -0.1623 4.4315
0.0000 0.0000 1.6405
1.0436 -1.4829 4.4315
0.7625 1.6452 4.4315
-1.8060 0.1623 13.4441
0.7625 -1.6452 13.4441
0.0000 0.0000 16.2351
1.0436 1.4829 13.4441
-1.2280 -2.6297 5.9585
-1.6633 2.3783 5.9585
2.8914 0.2513 5.9585
-1.1511 0.0000 8.9378
0.5756 -0.9969 8.9378
0.5756 0.9969 8.9378
-1.9266 -1.4197 5.9585
-0.2849 -2.8760 4.9761
-2.3482 1.6847 4.9761
0.0000 0.0000 3.6377
-2.1164 0.0000 8.9378
-2.3482 -1.6847 12.8995
-0.2662 2.3783 5.9585
1.0582 -1.8328 8.9378
-1.9266 1.4197 11.9170
2.6331 1.1912 4.9761
1.0582 1.8328 8.9378
0.0000 0.0000 14.2379
-0.2849 2.8760 12.8994
2.6332 -1.1912 12.8994
```



VASP calculation (PBE-GGA) on a geometry-optimized Na2HgAsF6 structure.

Spin magnetization, Bohr magnetons per cell: 0.01
Energy of formation, eV per atom: -2.1645

The structure in POSCAR format:
```
Na2HgAsF6
1.0
0.0000 4.5757 4.5757
4.5757 0.0000 4.5757
4.5757 4.5757 0.0000
Na Hg As F
2 1 1 6
Cartesian
2.2878 2.2878 2.2878
6.8635 6.8635 6.8635
0.0000 0.0000 0.0000
4.5757 4.5757 4.5757
4.5757 4.5757 2.5668
4.5757 2.5668 4.5757
6.5845 4.5757 4.5757
2.5668 4.5757 4.5757
4.5757 6.5845 4.5757
4.5757 4.5757 6.5845
```



VASP calculation (PBE-GGA) on a geometry-optimized La2H5 structure.

Spin magnetization, Bohr magnetons per cell: 0.03
Energy of formation, eV per atom: -0.7313

The structure in POSCAR format:
```
La2H5
1.0
-2.7874 2.7874 5.6732
2.7874 -2.7874 5.6732
2.7874 2.7874 -5.6732
La H
4 10
Cartesian
0.0000 0.0000 0.0000
2.7874 0.0000 2.7460
0.0000 0.0000 5.5825
0.0000 2.7874 2.8366
1.2890 1.3996 -1.4638
1.4984 -1.3878 4.2094
0.0000 0.0000 2.7289
1.3996 1.4984 1.3728
1.3878 -1.2890 7.0460
1.2890 4.1752 -1.4638
1.4984 1.3878 4.2094
1.3996 4.0764 1.3728
1.3878 1.2890 7.0460
0.0000 2.7874 5.5655
```